Computed, not measured: a relaxed structure of Hf2In5 at the PBE level of DFT.

a b c (Å): 10.408 10.408 3.076
angles (deg): 90.00 90.00 90.00
Atoms (fractional coordinates):
Hf 0.180 0.320 0.000
Hf 0.320 0.820 0.000
Hf 0.680 0.180 0.000
Hf 0.820 0.680 0.000
In 0.000 0.500 0.500
In 0.062 0.792 0.500
In 0.208 0.062 0.500
In 0.292 0.562 0.500
In 0.438 0.292 0.500
In 0.500 0.000 0.500
In 0.562 0.708 0.500
In 0.708 0.438 0.500
In 0.792 0.938 0.500
In 0.938 0.208 0.500

Values from the calculation:
* space-group type: P4/mbm
* final energy: -4.94 eV/atom
* calculated formation energy: -0.134 eV/atom

---

Computed, not measured: a relaxed structure of Na3Hf3InP6O24 at the PBE level of DFT.

a b c (Å): 8.884 8.916 23.111
angles (deg): 89.95 89.98 60.14
Atoms (fractional coordinates):
Na 0.000 0.000 0.000
Na 0.000 0.008 0.496
Na 0.303 0.671 0.582
Na 0.333 0.333 0.666
Na 0.333 0.342 0.168
Na 0.659 0.683 0.832
Na 0.666 0.683 0.332
Na 0.698 0.337 0.415
Na 0.969 0.338 0.916
Hf 0.331 0.341 0.313
Hf 0.334 0.342 0.021
Hf 0.335 0.342 0.813
Hf 0.661 0.681 0.982
Hf 0.667 0.674 0.187
Hf 0.668 0.675 0.687
Hf 0.668 0.681 0.480
Hf 0.994 0.015 0.649
Hf 0.999 0.009 0.148
In 0.000 0.002 0.851
In 0.006 0.002 0.349
In 0.332 0.335 0.518
P 0.000 0.716 0.250
P 0.041 0.340 0.417
P 0.044 0.632 0.918
P 0.292 0.716 0.750
P 0.293 0.008 0.250
P 0.330 0.635 0.418
P 0.335 0.051 0.917
P 0.374 0.676 0.084
P 0.377 0.966 0.584
P 0.624 0.341 0.917
P 0.625 0.050 0.416
P 0.667 0.965 0.084
P 0.668 0.383 0.583
P 0.706 0.008 0.751
P 0.707 0.301 0.251
P 0.956 0.384 0.083
P 0.958 0.675 0.584
P 0.999 0.301 0.752
O 0.008 0.187 0.411
O 0.024 0.812 0.914
O 0.026 0.184 0.698
O 0.027 0.804 0.196
O 0.127 0.369 0.363
O 0.128 0.515 0.864
O 0.138 0.365 0.076
O 0.142 0.518 0.580
O 0.145 0.310 0.472
O 0.156 0.540 0.971
O 0.164 0.319 0.756
O 0.164 0.535 0.256
O 0.167 0.041 0.913
O 0.174 0.816 0.412
O 0.177 0.035 0.196
O 0.180 0.801 0.694
O 0.194 0.838 0.091
O 0.197 0.975 0.591
O 0.218 0.825 0.804
O 0.222 0.972 0.305
O 0.306 0.559 0.475
O 0.307 0.167 0.970
O 0.309 0.535 0.756
O 0.310 0.172 0.256
O 0.356 0.146 0.581
O 0.356 0.513 0.076
O 0.360 0.138 0.863
O 0.364 0.514 0.366
O 0.461 0.702 0.030
O 0.461 0.849 0.531
O 0.475 0.692 0.741
O 0.475 0.848 0.240
O 0.488 0.648 0.137
O 0.488 0.874 0.638
O 0.497 0.871 0.924
O 0.500 0.373 0.580
O 0.504 0.146 0.076
O 0.504 0.643 0.424
O 0.509 0.138 0.363
O 0.511 0.369 0.863
O 0.525 0.172 0.756
O 0.525 0.319 0.256
O 0.533 0.319 0.971
O 0.551 0.161 0.471
O 0.639 0.879 0.137
O 0.641 0.501 0.636
O 0.641 0.870 0.423
O 0.645 0.505 0.924
O 0.684 0.849 0.741
O 0.686 0.483 0.241
O 0.693 0.468 0.528
O 0.693 0.853 0.030
O 0.794 0.036 0.697
O 0.798 0.184 0.198
O 0.805 0.034 0.410
O 0.808 0.184 0.913
O 0.810 0.232 0.307
O 0.814 0.973 0.805
O 0.829 0.984 0.090
O 0.831 0.204 0.591
O 0.839 0.482 0.741
O 0.840 0.692 0.241
O 0.845 0.702 0.530
O 0.847 0.468 0.027
O 0.855 0.506 0.423
O 0.864 0.641 0.924
O 0.868 0.499 0.136
O 0.868 0.652 0.637
O 0.963 0.823 0.305
O 0.966 0.231 0.808
O 0.974 0.203 0.090
O 0.979 0.838 0.591

Values from the calculation:
* space-group type: P1
* final energy: -7.68 eV/atom
* calculated formation energy: -3.047 eV/atom

---

Computed, not measured: a relaxed structure of NaHf2In2P3S3O24 at the PBE level of DFT.

a b c (Å): 8.862 8.868 23.328
angles (deg): 89.97 89.66 60.17
Atoms (fractional coordinates):
Na 0.000 0.000 0.000
Na 0.026 0.993 0.503
Na 0.352 0.334 0.841
Hf 0.346 0.320 0.186
Hf 0.353 0.318 0.690
Hf 0.672 0.660 0.525
Hf 0.680 0.657 0.815
Hf 0.682 0.651 0.319
Hf 0.694 0.651 0.025
In 0.004 0.986 0.856
In 0.007 0.997 0.150
In 0.020 0.992 0.357
In 0.023 0.983 0.655
In 0.338 0.326 0.480
In 0.349 0.325 0.982
P 0.059 0.321 0.085
P 0.307 0.697 0.754
P 0.341 0.038 0.585
P 0.390 0.657 0.421
P 0.638 0.034 0.084
P 0.682 0.369 0.920
P 0.721 0.991 0.753
P 0.965 0.370 0.421
P 0.972 0.656 0.919
S 0.014 0.285 0.753
S 0.014 0.699 0.253
S 0.055 0.618 0.585
S 0.308 0.990 0.253
S 0.347 0.618 0.086
S 0.391 0.945 0.920
S 0.640 0.320 0.585
S 0.683 0.944 0.420
S 0.718 0.284 0.254
O 0.028 0.796 0.591
O 0.038 0.160 0.093
O 0.049 0.775 0.305
O 0.052 0.175 0.804
O 0.138 0.511 0.637
O 0.142 0.356 0.424
O 0.148 0.347 0.139
O 0.151 0.488 0.922
O 0.163 0.543 0.534
O 0.168 0.525 0.243
O 0.169 0.309 0.744
O 0.170 0.291 0.032
O 0.181 0.014 0.592
O 0.191 0.773 0.807
O 0.194 0.792 0.095
O 0.197 0.029 0.304
O 0.210 0.822 0.416
O 0.217 0.961 0.916
O 0.234 0.953 0.202
O 0.239 0.804 0.699
O 0.313 0.544 0.035
O 0.314 0.147 0.531
O 0.328 0.512 0.743
O 0.329 0.145 0.242
O 0.366 0.128 0.638
O 0.371 0.507 0.138
O 0.378 0.118 0.922
O 0.383 0.491 0.427
O 0.477 0.842 0.972
O 0.482 0.685 0.473
O 0.484 0.839 0.263
O 0.489 0.671 0.765
O 0.496 0.859 0.868
O 0.500 0.643 0.366
O 0.504 0.631 0.080
O 0.508 0.858 0.576
O 0.517 0.352 0.922
O 0.524 0.126 0.139
O 0.527 0.114 0.424
O 0.529 0.349 0.637
O 0.534 0.153 0.743
O 0.543 0.308 0.243
O 0.560 0.149 0.032
O 0.562 0.294 0.533
O 0.646 0.858 0.077
O 0.653 0.481 0.579
O 0.664 0.479 0.866
O 0.664 0.857 0.367
O 0.694 0.465 0.974
O 0.698 0.460 0.263
O 0.698 0.833 0.764
O 0.706 0.836 0.471
O 0.789 0.039 0.805
O 0.792 0.174 0.305
O 0.815 0.170 0.593
O 0.822 0.006 0.093
O 0.828 0.960 0.698
O 0.830 0.213 0.203
O 0.842 0.957 0.415
O 0.850 0.465 0.474
O 0.851 0.191 0.917
O 0.860 0.675 0.974
O 0.860 0.678 0.264
O 0.863 0.460 0.762
O 0.873 0.480 0.366
O 0.877 0.642 0.866
O 0.879 0.486 0.079
O 0.883 0.629 0.577
O 0.974 0.191 0.416
O 0.979 0.809 0.202
O 0.981 0.214 0.701
O 0.987 0.821 0.919

Values from the calculation:
* space-group type: P1
* final energy: -7.09 eV/atom
* calculated formation energy: -2.586 eV/atom

---

Computed, not measured: a relaxed structure of Na4HfInSi2PO12 at the PBE level of DFT.

a b c (Å): 9.219 9.219 22.585
angles (deg): 89.75 90.25 119.76
Atoms (fractional coordinates):
Na 0.643 0.007 0.251
Na 0.371 0.368 0.244
Na 0.986 0.624 0.249
Na 0.632 0.629 0.744
Na 0.993 0.357 0.751
Na 0.376 0.014 0.749
Na 0.310 0.340 0.584
Na 0.038 0.701 0.578
Na 0.653 0.957 0.582
Na 0.299 0.962 0.078
Na 0.660 0.690 0.084
Na 0.043 0.347 0.082
Na 0.977 0.674 0.917
Na 0.705 0.034 0.911
Na 0.320 0.290 0.916
Na 0.966 0.295 0.411
Na 0.326 0.023 0.417
Na 0.710 0.680 0.416
Na 0.995 0.991 0.497
Na 0.009 0.005 0.997
Na 0.661 0.324 0.830
Na 0.676 0.339 0.330
Na 0.328 0.657 0.163
Na 0.343 0.672 0.663
Hf 0.999 0.001 0.648
Hf 0.999 0.001 0.148
Hf 0.666 0.334 0.981
Hf 0.666 0.334 0.481
Hf 0.332 0.667 0.315
Hf 0.333 0.668 0.815
In 0.994 0.995 0.349
In 0.005 0.006 0.849
In 0.660 0.329 0.682
In 0.671 0.340 0.182
In 0.327 0.662 0.016
In 0.338 0.673 0.516
Si 0.701 0.702 0.250
Si 0.001 0.297 0.250
Si 0.298 0.299 0.750
Si 0.703 0.999 0.750
Si 0.368 0.035 0.584
Si 0.667 0.630 0.584
Si 0.965 0.632 0.084
Si 0.370 0.333 0.084
Si 0.034 0.369 0.917
Si 0.334 0.964 0.917
Si 0.631 0.966 0.417
Si 0.036 0.666 0.417
P 0.294 0.999 0.251
P 0.001 0.706 0.751
P 0.960 0.332 0.584
P 0.668 0.040 0.084
P 0.627 0.666 0.917
P 0.334 0.373 0.417
O 0.221 0.032 0.307
O 0.815 0.776 0.309
O 0.973 0.189 0.310
O 0.224 0.185 0.809
O 0.968 0.779 0.807
O 0.811 0.027 0.810
O 0.796 0.969 0.693
O 0.175 0.204 0.693
O 0.027 0.822 0.696
O 0.796 0.825 0.193
O 0.031 0.204 0.193
O 0.178 0.973 0.196
O 0.888 0.365 0.640
O 0.482 0.109 0.643
O 0.639 0.522 0.644
O 0.891 0.518 0.143
O 0.635 0.112 0.140
O 0.478 0.361 0.144
O 0.463 0.303 0.027
O 0.841 0.537 0.026
O 0.694 0.155 0.029
O 0.463 0.159 0.526
O 0.697 0.537 0.527
O 0.845 0.306 0.529
O 0.554 0.698 0.973
O 0.149 0.443 0.976
O 0.306 0.855 0.977
O 0.557 0.851 0.476
O 0.302 0.446 0.473
O 0.145 0.694 0.477
O 0.129 0.636 0.360
O 0.508 0.871 0.360
O 0.361 0.488 0.363
O 0.129 0.492 0.860
O 0.364 0.871 0.860
O 0.512 0.639 0.863
O 0.022 0.836 0.413
O 0.820 0.993 0.414
O 0.185 0.196 0.411
O 0.007 0.180 0.914
O 0.164 0.978 0.913
O 0.804 0.815 0.911
O 0.969 0.167 0.588
O 0.184 0.027 0.588
O 0.838 0.816 0.588
O 0.973 0.816 0.088
O 0.833 0.031 0.088
O 0.184 0.162 0.088
O 0.689 0.169 0.746
O 0.487 0.327 0.747
O 0.852 0.529 0.744
O 0.673 0.513 0.247
O 0.831 0.311 0.246
O 0.471 0.148 0.244
O 0.636 0.501 0.922
O 0.851 0.360 0.922
O 0.504 0.150 0.921
O 0.640 0.149 0.422
O 0.499 0.364 0.422
O 0.850 0.496 0.421
O 0.355 0.502 0.080
O 0.154 0.660 0.080
O 0.519 0.863 0.077
O 0.340 0.846 0.580
O 0.498 0.645 0.580
O 0.137 0.481 0.577
O 0.302 0.834 0.255
O 0.518 0.693 0.255
O 0.171 0.483 0.254
O 0.307 0.482 0.755
O 0.166 0.698 0.755
O 0.517 0.829 0.754

Values from the calculation:
* final energy: -6.92 eV/atom
* calculated formation energy: -2.849 eV/atom